# Li2SnP4O12 | the Materials Project database | GGA-PBE | optimized geometry
data_Li2SnP4O12
_chemical_formula_sum 'Li8 Sn4 P16 O48'
_space_group_name_H-M_alt 'P 1'
_space_group_IT_number 1
_space_group_name_Hall 'P 1'
_cell_length_a 14.315
_cell_length_b 7.748
_cell_length_c 12.090
_cell_angle_alpha 59.60
_cell_angle_beta 90.00
_cell_angle_gamma 90.00
loop_
_atom_site_label
_atom_site_fract_x
_atom_site_fract_y
_atom_site_fract_z
Li1 0.796 0.400 0.696
Li2 0.361 0.065 0.072
Li3 0.296 0.600 0.804
Li4 0.861 0.935 0.428
Li5 0.139 0.065 0.572
Li6 0.704 0.400 0.196
Li7 0.639 0.935 0.928
Li8 0.204 0.600 0.304
Sn1 0.358 0.742 0.482
Sn2 0.858 0.258 0.018
Sn3 0.142 0.742 0.982
Sn4 0.642 0.258 0.518
P1 0.166 0.428 0.634
P2 0.585 0.570 0.645
P3 0.695 0.870 0.201
P4 0.085 0.430 0.855
P5 0.089 0.055 0.112
P6 0.666 0.572 0.866
P7 0.589 0.945 0.388
P8 0.195 0.130 0.299
P9 0.805 0.870 0.701
P10 0.411 0.055 0.612
P11 0.334 0.428 0.134
P12 0.911 0.945 0.888
P13 0.915 0.570 0.145
P14 0.305 0.130 0.799
P15 0.415 0.430 0.355
P16 0.834 0.572 0.366
O1 0.255 0.350 0.734
O2 0.662 0.422 0.662
O3 0.121 0.209 0.966
O4 0.851 0.705 0.420
O5 0.639 0.888 0.092
O6 0.488 0.527 0.620
O7 0.082 0.399 0.733
O8 0.143 0.863 0.153
O9 0.683 0.354 0.958
O10 0.183 0.646 0.542
O11 0.626 0.834 0.315
O12 0.582 0.601 0.767
O13 0.988 0.473 0.880
O14 0.621 0.791 0.534
O15 0.984 0.045 0.123
O16 0.767 0.024 0.183
O17 0.267 0.976 0.317
O18 0.484 0.955 0.377
O19 0.162 0.578 0.838
O20 0.755 0.650 0.766
O21 0.126 0.166 0.185
O22 0.649 0.705 0.920
O23 0.861 0.888 0.592
O24 0.357 0.863 0.653
O25 0.643 0.137 0.347
O26 0.139 0.112 0.408
O27 0.351 0.295 0.080
O28 0.874 0.834 0.815
O29 0.245 0.350 0.234
O30 0.838 0.422 0.162
O31 0.516 0.045 0.623
O32 0.733 0.024 0.683
O33 0.233 0.976 0.817
O34 0.016 0.955 0.877
O35 0.379 0.209 0.466
O36 0.012 0.527 0.120
O37 0.418 0.399 0.233
O38 0.374 0.166 0.685
O39 0.817 0.354 0.458
O40 0.317 0.646 0.042
O41 0.857 0.137 0.847
O42 0.918 0.601 0.267
O43 0.512 0.473 0.380
O44 0.361 0.112 0.908
O45 0.149 0.295 0.580
O46 0.879 0.791 0.034
O47 0.338 0.578 0.338
O48 0.745 0.650 0.266
# Total energy (eV/atom): -6.74
# Total magnetic moment (μB per formula unit): 0.0
# Formation energy from the elements (eV per atom): -2.493
# Relative energy among the computed polymorphs (kJ/mol of formula units): 124.9